Record 1
Material: Cs2LiSmCl6
Method: DFT, GGA-PBE
State: optimized geometry

Calculated values
Total DFT energy (no corrections)   -4.06 eV per atom
Volume   30.83 Å³/atom
DFT formation energy   -2.479 eV/atom

Cell: 10.7240 10.7240 10.7240 Å, 90.00 90.00 90.00°
Space group Fm-3m (No. 225)
One atom of each set of equivalent atoms:
Cs (0.2500, 0.2500, 0.2500)
Li (0.0000, 0.0000, 0.0000)
Sm (0.0000, 0.0000, 0.5000)
Cl (0.0000, 0.0000, 0.2476)


Record 2
Material: Cs2LiTaCl6
Method: DFT, GGA-PBE
State: optimized geometry

Calculated values
Total DFT energy (no corrections)   -4.23 eV per atom
Volume   27.80 Å³/atom
DFT formation energy   -1.934 eV/atom

Cell: 10.3604 10.3604 10.3604 Å, 90.00 90.00 90.00°
Space group Fm-3m (No. 225)
One atom of each set of equivalent atoms:
Cs (0.2500, 0.2500, 0.2500)
Li (0.0000, 0.0000, 0.0000)
Ta (0.0000, 0.0000, 0.5000)
Cl (0.0000, 0.0000, 0.2588)


Record 3
Material: Cs2LiTbCl6
Method: DFT, GGA-PBE
State: optimized geometry

Calculated values
Total DFT energy (no corrections)   -4.06 eV per atom
Volume   30.17 Å³/atom
DFT formation energy   -2.490 eV/atom

Cell: 10.6463 10.6463 10.6463 Å, 90.00 90.00 90.00°
Space group Fm-3m (No. 225)
One atom of each set of equivalent atoms:
Cs (0.2500, 0.2500, 0.2500)
Li (0.0000, 0.0000, 0.0000)
Tb (0.0000, 0.0000, 0.5000)
Cl (0.0000, 0.0000, 0.2501)


Record 4
Material: CsLu2Cl7
Method: DFT, GGA-PBE
State: optimized geometry

Calculated values
Total DFT energy (no corrections)   -4.52 eV per atom
Volume   29.61 Å³/atom
DFT formation energy   -2.665 eV/atom

Cell: 13.5015 6.9627 12.5991 Å, 90.00 90.00 90.00°
Space group Pnma (No. 62)
One atom of each set of equivalent atoms:
Cs (0.0429, 0.2500, 0.1958)
Lu (0.2376, 0.2500, 0.5405)
Lu (0.2492, 0.7500, 0.3423)
Cl (0.1105, 0.7500, 0.1884)
Cl (0.1245, 0.0074, 0.4250)
Cl (0.1366, 0.0103, 0.9599)
Cl (0.1768, 0.0136, 0.6933)


Record 5
Material: Cs2RbLuCl6
Method: DFT, GGA-PBE
State: optimized geometry

Calculated values
Total DFT energy (no corrections)   -3.98 eV per atom
Volume   37.69 Å³/atom
DFT formation energy   -2.508 eV/atom

Cell: 11.4667 11.4667 11.4667 Å, 90.00 90.00 90.00°
Space group Fm-3m (No. 225)
One atom of each set of equivalent atoms:
Cs (0.2500, 0.2500, 0.2500)
Rb (0.0000, 0.0000, 0.0000)
Lu (0.0000, 0.0000, 0.5000)
Cl (0.0000, 0.0000, 0.2746)


Record 6
Material: CsMgCl3
Method: DFT, GGA-PBE
State: optimized geometry

Calculated values
Total DFT energy (no corrections)   -3.56 eV per atom
Volume   29.84 Å³/atom
DFT formation energy   -2.322 eV/atom

Cell: 7.4135 7.4135 6.2692 Å, 90.00 90.00 120.00°
Space group P6_3/mmc (No. 194)
One atom of each set of equivalent atoms:
Cs (0.3333, 0.6667, 0.2500)
Mg (0.0000, 0.0000, 0.0000)
Cl (0.1541, 0.3081, 0.7500)


Record 7
Material: Cs3MnCl5
Method: DFT, GGA-PBE
State: optimized geometry

Calculated values
Total DFT energy (no corrections)   -4.06 eV per atom
Volume   37.00 Å³/atom
DFT formation energy   -2.061 eV/atom

Cell: 9.4286 9.4286 14.9824 Å, 90.00 90.00 90.00°
Space group I4/mcm (No. 140)
One atom of each set of equivalent atoms:
Cs (0.0000, 0.0000, 0.2500)
Cs (0.1652, 0.3348, 0.0000)
Mn (0.0000, 0.5000, 0.2500)
Cl (0.0000, 0.0000, 0.0000)
Cl (0.1409, 0.3591, 0.3439)


Record 8
Material: CsMnCl3
Method: DFT, GGA-PBE
State: optimized geometry

Calculated values
Total DFT energy (no corrections)   -4.61 eV per atom
Volume   29.27 Å³/atom
DFT formation energy   -1.858 eV/atom

Cell: 7.4080 7.4080 27.7181 Å, 90.00 90.00 120.00°
Space group R-3m (No. 166, hexagonal axes)
One atom of each set of equivalent atoms:
Cs (0.0000, 0.0000, 0.0000)
Cs (0.0000, 0.0000, 0.2196)
Mn (0.0000, 0.0000, 0.3836)
Mn (0.0000, 0.0000, 0.5000)
Cl (0.0000, 0.5000, 0.0000)
Cl (0.0249, 0.5125, 0.2246)


Record 9
Material: Cs2MnCl4
Method: DFT, GGA-PBE
State: optimized geometry

Calculated values
Total DFT energy (no corrections)   -4.24 eV per atom
Volume   33.31 Å³/atom
DFT formation energy   -1.975 eV/atom

Cell: 5.2252 5.2252 17.0796 Å, 90.00 90.00 90.00°
Space group I4/mmm (No. 139)
One atom of each set of equivalent atoms:
Cs (0.0000, 0.0000, 0.1435)
Mn (0.0000, 0.0000, 0.5000)
Cl (0.0000, 0.0000, 0.3528)
Cl (0.0000, 0.5000, 0.0000)


Record 10
Material: CsTcNClO4
Method: DFT, GGA-PBE
State: optimized geometry

Calculated values
Total DFT energy (no corrections)   -5.85 eV per atom
Volume   21.28 Å³/atom
DFT formation energy   -0.781 eV/atom

Cell: 6.6263 8.8013 11.6783 Å, 90.00 90.00 90.00°
Space group P2_12_12_1 (No. 19)
One atom of each set of equivalent atoms:
Cs (0.2212, 0.1147, 0.1752)
Tc (0.2098, 0.4262, 0.5559)
N (0.0027, 0.5262, 0.5784)
Cl (0.2146, 0.2831, 0.7284)
O (0.0699, 0.4544, 0.1257)
O (0.0892, 0.4223, 0.0050)
O (0.1199, 0.2379, 0.4795)
O (0.1836, 0.3517, 0.3978)


Record 11
Material: Cs2NaNdCl6
Method: DFT, GGA-PBE
State: optimized geometry

Calculated values
Total DFT energy (no corrections)   -4.01 eV per atom
Volume   33.99 Å³/atom
DFT formation energy   -2.480 eV/atom

Cell: 11.0785 11.0785 11.0785 Å, 90.00 90.00 90.00°
Space group Fm-3m (No. 225)
One atom of each set of equivalent atoms:
Cs (0.2500, 0.2500, 0.2500)
Na (0.0000, 0.0000, 0.0000)
Nd (0.0000, 0.0000, 0.5000)
Cl (0.0000, 0.0000, 0.2531)


Record 12
Material: CsNb4Cl11
Method: DFT, GGA-PBE
State: optimized geometry

Calculated values
Total DFT energy (no corrections)   -5.22 eV per atom
Volume   25.74 Å³/atom
DFT formation energy   -1.785 eV/atom

Cell: 16.2962 7.0545 7.1634 Å, 90.00 90.00 90.00°
Space group Pmma (No. 51)
One atom of each set of equivalent atoms:
Cs (0.2500, 0.0000, 0.0183)
Nb (0.0000, 0.2862, 0.5000)
Nb (0.1409, 0.5000, 0.6179)
Cl (0.0771, 0.2508, 0.8028)
Cl (0.0827, 0.0000, 0.3703)
Cl (0.0858, 0.5000, 0.2987)
Cl (0.2500, 0.2698, 0.4876)
Cl (0.2500, 0.5000, 0.8897)


Record 13
Material: Cs2Nb6PbCl18
Method: DFT, GGA-PBE
State: optimized geometry

Calculated values
Total DFT energy (no corrections)   -5.07 eV per atom
Volume   26.97 Å³/atom
DFT formation energy   -1.797 eV/atom

Cell: 9.7016 9.7016 26.8023 Å, 90.00 90.00 120.00°
Space group R-3 (No. 148, hexagonal axes)
One atom of each set of equivalent atoms:
Cs (0.0000, 0.0000, 0.2230)
Nb (0.0350, 0.1906, 0.0448)
Pb (0.0000, 0.0000, 0.5000)
Cl (0.0228, 0.2599, 0.4361)
Cl (0.0408, 0.2243, 0.8943)
Cl (0.0675, 0.2605, 0.6662)


Record 14
Material: CsTiNb6Cl18
Method: DFT, GGA-PBE
State: optimized geometry

Calculated values
Total DFT energy (no corrections)   -5.31 eV per atom
Volume   24.27 Å³/atom
DFT formation energy   -1.783 eV/atom

Cell: 9.2057 9.2057 17.1984 Å, 90.00 90.00 120.00°
Space group P-31c (No. 163)
One atom of each set of equivalent atoms:
Cs (0.3333, 0.6667, 0.2500)
Ti (0.3333, 0.6667, 0.7500)
Nb (0.0461, 0.2022, 0.5694)
Cl (0.0538, 0.2410, 0.3378)
Cl (0.1029, 0.4610, 0.6662)
Cl (0.1360, 0.4231, 0.0020)


Record 15
Material: Cs3NpCl4O2
Method: DFT, GGA-PBE
State: optimized geometry

Calculated values
Total DFT energy (no corrections)   -5.51 eV per atom
Volume   33.84 Å³/atom
DFT formation energy   -2.360 eV/atom

Cell: 15.6718 7.4462 13.0316 Å, 90.00 117.12 90.00°
Space group C2/c (No. 15)
One atom of each set of equivalent atoms:
Cs (0.0000, 0.0874, 0.2500)
Cs (0.1522, 0.3136, 0.6309)
Np (0.2500, 0.2500, 0.0000)
Cl (0.0969, 0.1809, 0.0473)
Cl (0.1554, 0.4508, 0.3707)
O (0.1970, 0.1108, 0.8680)